DFT (PBE) results for a relaxed Ta2GaRe2Se8 crystal.

Results
The volume is 23.64 A^3/atom.

POSCAR file:
```
Ta2GaRe2Se8
1.0
-3.262 0.852 -0.830
1.826 -2.104 -2.073
-9.905 -23.337 14.957
Ta Ga Re Se
2 1 2 8
direct
0.000 0.000 0.616
0.000 0.000 0.125
0.000 0.000 0.743
0.000 0.000 0.885
0.000 0.000 0.375
0.333 0.667 0.675
0.333 0.667 0.183
0.667 0.333 0.833
0.667 0.333 0.322
0.667 0.333 0.938
0.667 0.333 0.428
0.333 0.667 0.559
0.333 0.667 0.068
```

=====

DFT (PBE) results for a relaxed GaRh crystal.

Results
The volume is 14.09 A^3/atom.

POSCAR file:
```
GaRh
1.0
3.043 0.000 0.000
0.000 3.043 0.000
0.000 0.000 3.043
Ga Rh
1 1
direct
0.000 0.000 0.000
0.500 0.500 0.500
```

=====

DFT (PBE) results for a relaxed Ga5Rh3 crystal.

Results
The volume is 15.52 A^3/atom.

POSCAR file:
```
Ga5Rh3
1.0
5.030 0.000 0.000
-1.331 6.601 0.000
-2.033 -1.957 7.478
Ga Rh
10 6
direct
0.777 0.547 0.540
0.223 0.453 0.460
0.914 0.178 0.046
0.086 0.822 0.954
0.551 0.143 0.274
0.449 0.857 0.726
0.681 0.474 0.872
0.319 0.526 0.128
0.041 0.906 0.346
0.959 0.094 0.654
0.848 0.514 0.224
0.152 0.486 0.776
0.635 0.827 0.050
0.365 0.173 0.950
0.544 0.805 0.422
0.456 0.195 0.578
```

=====

DFT (PBE) results for a relaxed Ga17Rh10 crystal.

Results
The volume is 15.44 A^3/atom.

POSCAR file:
```
Ga17Rh10
1.0
-1.142 4.715 -3.323
-4.791 1.110 3.222
26.341 27.345 29.747
Ga Rh
68 40
direct
0.172 0.172 0.250
0.172 0.828 0.750
0.828 0.172 0.750
0.828 0.828 0.250
0.347 0.233 0.015
0.233 0.653 0.985
0.767 0.347 0.985
0.653 0.767 0.015
0.233 0.347 0.485
0.767 0.653 0.485
0.653 0.233 0.515
0.347 0.767 0.515
0.799 0.156 0.045
0.156 0.201 0.955
0.844 0.799 0.955
0.201 0.844 0.045
0.156 0.799 0.455
0.844 0.201 0.455
0.201 0.156 0.545
0.799 0.844 0.545
0.167 0.323 0.074
0.323 0.833 0.926
0.677 0.167 0.926
0.833 0.677 0.074
0.323 0.167 0.426
0.677 0.833 0.426
0.833 0.323 0.574
0.167 0.677 0.574
0.663 0.315 0.103
0.315 0.337 0.897
0.685 0.663 0.897
0.337 0.685 0.103
0.315 0.663 0.397
0.685 0.337 0.397
0.337 0.315 0.603
0.663 0.685 0.603
0.289 0.154 0.132
0.154 0.711 0.868
0.846 0.289 0.868
0.711 0.846 0.132
0.154 0.289 0.368
0.846 0.711 0.368
0.711 0.154 0.632
0.289 0.846 0.632
0.848 0.245 0.162
0.245 0.152 0.838
0.755 0.848 0.838
0.152 0.755 0.162
0.245 0.848 0.338
0.755 0.152 0.338
0.152 0.245 0.662
0.848 0.755 0.662
0.279 0.346 0.192
0.346 0.721 0.808
0.654 0.279 0.808
0.721 0.654 0.192
0.346 0.279 0.308
0.654 0.721 0.308
0.721 0.346 0.692
0.279 0.654 0.692
0.659 0.192 0.221
0.192 0.341 0.779
0.808 0.659 0.779
0.341 0.808 0.221
0.192 0.659 0.279
0.808 0.341 0.279
0.341 0.192 0.721
0.659 0.808 0.721
0.500 0.500 0.250
0.500 0.500 0.750
0.000 0.000 0.000
0.000 0.000 0.500
0.000 0.000 0.099
0.000 0.000 0.901
0.000 0.000 0.401
0.000 0.000 0.599
0.000 0.000 0.201
0.000 0.000 0.799
0.000 0.000 0.299
0.000 0.000 0.701
0.500 0.500 0.052
0.500 0.500 0.948
0.500 0.500 0.448
0.500 0.500 0.552
0.500 0.500 0.149
0.500 0.500 0.851
0.500 0.500 0.351
0.500 0.500 0.649
0.000 0.500 0.026
0.500 0.000 0.974
0.500 0.000 0.474
0.000 0.500 0.526
0.000 0.500 0.124
0.500 0.000 0.876
0.500 0.000 0.376
0.000 0.500 0.624
0.000 0.500 0.227
0.500 0.000 0.773
0.500 0.000 0.273
0.000 0.500 0.727
0.000 0.500 0.325
0.500 0.000 0.675
0.500 0.000 0.175
0.000 0.500 0.825
0.000 0.500 0.424
0.500 0.000 0.576
0.500 0.000 0.076
0.000 0.500 0.924
```

=====

Number 1: energy -84.77 eV per formula unit. Number 2: energy -11.75 eV per formula unit. Number 3: energy -42.02 eV per formula unit. Number 4: energy -141.28 eV per formula unit.